#one
A geometry-optimized LiV2O3F structure. Source: Materials Project, functional PBE+U.

```
14
Lattice="3.009 5.198 0.000 -3.009 5.198 0.000 0.000 3.405 4.967" Properties=species:S:1:pos:R:3 pbc="T T T"
O 0.000 5.307 3.715
F 1.426 7.667 3.740
V 0.000 10.363 1.929
F -1.426 7.667 3.740
O 0.000 3.384 1.034
O 0.000 8.502 1.266
O 0.000 10.463 3.868
V 0.000 6.805 2.435
V -1.430 2.531 0.046
V 1.430 2.531 0.046
O -1.443 6.105 1.244
Li 0.000 5.185 0.078
O 1.443 6.105 1.244
Li 0.000 3.470 2.997
```

## Properties
Space group ... Cm, No. 8

---

#two
A geometry-optimized LiV2O3F structure. Source: Materials Project, functional PBE+U.

```
28
Lattice="4.279 6.780 0.000 -4.279 6.780 0.000 0.000 2.666 5.395" Properties=species:S:1:pos:R:3 pbc="T T T"
O 2.099 10.706 4.516
V -0.064 9.471 1.987
O 2.001 5.425 0.592
O 0.164 8.809 3.985
Li -1.028 2.029 0.559
V 2.303 8.755 4.173
Li 1.100 14.143 4.808
O 0.133 11.295 2.761
O -0.091 4.897 2.664
V -2.109 4.794 2.707
Li -1.100 12.811 2.111
F 4.255 7.435 1.399
O -2.001 6.758 3.290
V -0.021 5.389 0.681
O 0.091 6.230 5.362
V 0.064 10.804 4.684
O -2.042 5.534 0.829
O 2.042 6.867 3.527
V -2.303 7.422 1.475
O -0.164 7.477 1.287
O -2.099 9.373 1.818
Li 1.028 3.362 3.257
F -2.110 10.834 4.757
V 0.021 6.721 3.379
V 2.109 3.461 0.009
F -4.255 8.768 4.097
F 2.110 9.501 2.059
O -0.133 9.962 0.064
```

## Properties
Space group ... Cc, No. 9

---

Tell me which of them is the most stable. Sure, it is #two.

---

#one
A geometry-optimized MgMn6O10F2 structure. Source: Materials Project, functional PBE+U.

```
19
Lattice="6.430 -3.473 3.866 5.280 2.602 -0.706 1.790 2.763 4.671" Properties=species:S:1:pos:R:3 pbc="T T T"
F 8.092 3.893 4.725
O 5.895 4.265 3.172
Mn 3.732 1.162 2.136
O 5.743 2.495 5.523
Mg 7.539 -0.585 6.151
Mn 10.066 3.706 5.767
O 4.272 2.697 1.031
Mn 10.341 0.717 6.080
Mn 6.654 2.479 3.784
O 5.609 -0.434 5.545
O 5.476 -1.992 3.110
Mn 6.497 -0.554 3.695
F 7.795 0.712 4.639
O 2.934 2.741 3.100
O 7.548 -1.922 4.590
O 5.566 0.998 3.133
Mn 11.737 -0.748 3.317
O 7.629 -0.543 2.180
O 7.959 2.394 2.328
```

## Properties
Space group ... P1, No. 1

---

#two
A geometry-optimized MgMn6O10F2 structure. Source: Materials Project, functional PBE+U.

```
19
Lattice="-5.064 0.434 0.047 -0.376 4.761 -5.801 0.466 -4.851 -2.970" Properties=species:S:1:pos:R:3 pbc="T T T"
Mn -2.314 2.157 -7.221
O -0.667 0.860 -7.329
F -4.084 -0.823 -7.382
O -4.318 -0.601 -1.416
Mn -4.956 0.330 -8.709
Mn 0.010 -0.017 -2.836
O -0.717 1.004 -1.359
O -3.452 1.599 -2.728
O -4.277 -0.548 -4.215
O -3.346 1.472 -5.745
O -1.648 -1.104 -2.775
O -2.922 -3.345 -2.969
Mn -5.004 0.373 -5.749
Mg -2.518 0.201 -1.387
O -1.959 3.565 -5.847
F -0.861 1.135 -4.164
Mn -2.705 2.581 -4.288
O -1.597 -1.162 -5.800
Mn -2.630 -1.845 -4.324
```

## Properties
Space group ... P-1, No. 2

---

#three
A geometry-optimized MgMn6O10F2 structure. Source: Materials Project, functional PBE+U.

```
19
Lattice="4.173 2.854 0.627 1.993 -0.002 -7.264 -3.890 4.212 -0.193" Properties=species:S:1:pos:R:3 pbc="T T T"
O -0.314 3.404 -6.644
Mn 1.862 3.583 -7.028
F 0.358 1.902 -4.156
O 2.391 3.918 -5.170
O 2.085 5.149 -2.782
Mg 1.154 3.548 -3.411
Mn 0.292 6.978 0.335
Mn -1.044 4.953 -2.221
O -0.193 3.195 -1.723
O -0.570 4.463 -4.100
O 2.835 2.581 -2.713
O 1.484 6.554 -5.232
Mn 3.426 4.238 -1.754
Mn -1.237 2.851 -5.068
F 2.483 1.747 -6.519
Mn 3.439 2.166 -4.662
O -0.345 5.359 -0.419
O 2.659 3.696 -0.196
O 0.835 0.563 -1.683
```

## Properties
Space group ... P1, No. 1

---

#four
A geometry-optimized MgMn6O10F2 structure. Source: Materials Project, functional PBE+U.

```
19
Lattice="-3.034 1.557 -3.762 9.965 -6.583 -8.396 -1.504 -2.502 0.177" Properties=species:S:1:pos:R:3 pbc="T T T"
O 5.048 -6.931 -7.250
Mn -0.921 -3.287 -6.462
Mn 4.876 -6.692 -5.345
O 0.862 -2.649 -6.451
O 2.085 -5.144 -7.166
F 1.625 -2.853 -2.864
Mn -0.292 -1.740 -3.394
Mn 5.750 -5.739 -8.589
O 8.135 -7.186 -8.752
O -1.304 -2.746 -2.058
Mn -1.489 -2.478 0.175
O 5.258 -7.234 -9.748
O -2.679 -0.296 -3.231
O -1.093 -3.049 -4.557
O 4.596 -4.828 -5.533
F 3.834 -4.624 -9.120
O 1.869 -4.836 -4.641
Mn 2.729 -3.739 -5.992
Mg -3.007 -1.702 -1.705
```

## Properties
Space group ... P2/m, No. 10

---

Tell me which of them is the most stable. Sure, it is #two.

---

#one
A geometry-optimized MgMn6O10F2 structure. Source: Materials Project, functional PBE+U.

```
19
Lattice="-7.433 0.726 -9.400 -0.798 -5.705 2.835 -2.062 1.181 1.786" Properties=species:S:1:pos:R:3 pbc="T T T"
O -0.433 -1.577 0.641
O -5.489 -3.360 -4.240
F -8.460 -3.766 -4.899
F -4.908 -3.233 -1.232
Mg -6.777 -3.119 -5.866
O -4.825 0.196 -5.814
Mn -2.503 1.164 1.207
O -4.864 -0.647 -0.362
O -3.138 -2.653 0.602
Mn -1.715 -2.112 1.987
O -2.296 0.370 -0.543
O -6.987 -1.279 -4.867
O -5.403 -4.134 1.307
O -5.151 -0.683 -3.139
Mn -3.684 -0.124 -1.824
Mn -4.963 -1.469 -4.878
O -0.591 -3.744 1.904
Mn -6.451 -3.813 -2.579
Mn -2.916 -3.508 -1.126
```

## Properties
Space group ... P1, No. 1

---

#two
A geometry-optimized MgMn6O10F2 structure. Source: Materials Project, functional PBE+U.

```
19
Lattice="5.978 -0.348 -3.770 -0.241 -4.992 -3.164 -1.065 2.391 -5.014" Properties=species:S:1:pos:R:3 pbc="T T T"
Mn 3.506 -0.684 -5.313
F 0.645 0.487 -7.282
O 3.067 -3.612 -8.904
Mn 0.586 -0.768 -3.520
Mn 1.716 -2.760 -10.050
O 4.112 -0.466 -3.482
O 5.472 -0.886 -5.552
Mn -0.213 -4.932 -3.163
O 0.623 -2.447 -8.444
Mn 1.222 -2.250 -6.608
O -0.736 -2.035 -6.366
F 3.032 -1.025 -9.640
Mn 4.149 -2.175 -8.388
O 3.042 -1.649 -6.964
O -0.794 -0.088 -4.526
O 1.687 -1.291 -4.951
O 1.662 0.680 -3.018
Mg -1.146 -0.085 -6.558
O -0.454 -2.525 -3.596
```

## Properties
Space group ... P1, No. 1

---

Tell me which of them is the most stable. Sure, it is #two.

---

#one
A geometry-optimized MgMn6O10F2 structure. Source: Materials Project, functional PBE+U.

```
19
Lattice="5.633 -10.576 0.000 4.403 4.654 0.000 0.000 0.000 2.976" Properties=species:S:1:pos:R:3 pbc="T T T"
F 5.904 -1.154 1.488
Mn 4.368 0.100 0.000
O 6.871 -9.169 0.000
Mn 7.748 -8.261 1.488
O 6.215 -6.877 1.488
O 3.397 -1.620 0.000
Mn 2.433 -2.398 1.488
O 8.581 -7.316 0.000
O 8.142 -2.580 0.000
Mg 7.217 -0.710 0.000
O 6.559 -4.496 0.000
F 9.081 -5.087 1.488
Mn 5.380 -6.000 0.000
O 4.297 -5.130 1.488
O 3.548 0.983 1.488
Mn 4.474 4.485 0.000
O 6.219 1.087 0.000
O 0.916 -1.000 1.488
Mn 7.487 -3.694 1.488
```

## Properties
Space group ... Pm, No. 6

---

#two
A geometry-optimized MgMn6O10F2 structure. Source: Materials Project, functional PBE+U.

```
19
Lattice="-5.471 5.320 2.927 -0.446 4.885 -2.926 -5.009 0.433 -2.928" Properties=species:S:1:pos:R:3 pbc="T T T"
O -8.856 6.798 0.016
Mn -3.091 2.952 -1.575
O -7.097 4.038 0.009
O -4.842 4.320 -4.420
O -6.281 6.262 -1.465
Mn -5.962 10.137 -0.083
Mn -3.230 7.479 -1.548
F -6.427 6.449 -4.335
O -3.932 6.472 -3.107
Mg -8.469 10.361 -1.542
Mn -7.935 7.557 -1.525
O -2.165 3.708 -3.113
O -6.178 6.186 1.327
Mn -5.586 5.268 -2.965
O -3.861 6.337 -0.109
O -4.745 4.245 -1.632
O -2.154 3.734 -0.062
Mn -5.440 5.239 -0.132
F -4.602 4.053 1.236
```

## Properties
Space group ... P1, No. 1

---

#three
A geometry-optimized MgMn6O10F2 structure. Source: Materials Project, functional PBE+U.

```
19
Lattice="-5.115 0.476 0.062 -0.381 4.788 -5.753 0.488 -4.932 -2.987" Properties=species:S:1:pos:R:3 pbc="T T T"
O -0.564 0.832 -7.272
F -0.711 0.985 -4.368
O -1.537 -1.199 -5.819
O -4.181 -0.714 -7.155
O -4.414 -0.598 -1.376
O -3.542 1.678 -2.681
Mg -2.577 0.183 -1.474
Mn -3.000 2.782 -4.246
Mn -0.445 4.669 -5.684
O -0.761 0.961 -1.369
O -3.427 1.533 -5.664
O -4.291 -0.597 -4.174
Mn -0.010 -0.031 -2.828
F -2.877 -3.461 -3.011
Mn -4.938 0.314 -5.753
Mn -2.651 -1.746 -4.367
O -2.069 3.664 -5.754
O -1.678 -1.097 -2.823
Mn -2.087 2.095 -7.089
```

## Properties
Space group ... P1, No. 1

---

Tell me which of them is the most stable. Sure, it is #two.

---

#one
A geometry-optimized Li9Mn2Co5O16 structure. Source: Materials Project, functional PBE+U.

```
32
Lattice="-0.711 -1.513 -2.441 9.063 2.495 -3.688 1.028 -8.630 5.308" Properties=species:S:1:pos:R:3 pbc="T T T"
O 6.008 -7.591 -0.034
Li 0.420 -7.199 2.754
O 1.398 -5.697 1.618
Co -0.188 -5.786 0.210
O 2.048 -7.351 4.166
Mn 1.037 -8.606 5.274
Li 1.826 -3.016 -2.035
Co 5.040 -3.108 0.818
O 0.868 -4.451 -0.874
O 8.028 -1.902 -2.436
Li 3.881 -0.320 -4.219
Li 4.895 -6.018 0.896
O 5.905 -4.485 -0.153
Li 2.323 -7.387 0.654
O 7.938 1.205 -2.698
Li -0.031 -2.945 0.171
Co 3.048 -8.707 3.143
Mn 6.367 1.076 -3.972
Li 6.958 -0.271 -1.470
Li 4.434 -1.602 -1.799
Li 7.571 -4.603 1.212
O 0.954 -1.342 -1.040
O 3.806 -7.503 2.147
O 3.438 -3.222 -0.658
O 8.439 -6.272 0.158
Co 6.948 -3.224 -1.310
O 7.805 -4.630 -2.357
O 6.060 -1.823 -0.253
Co 2.441 -4.424 0.476
O 5.541 -0.193 -2.928
O 2.732 -1.543 -3.084
O 4.024 -4.405 1.852
```

## Properties
Space group ... P1, No. 1

---

#two
A geometry-optimized Li9Mn2Co5O16 structure. Source: Materials Project, functional PBE+U.

```
32
Lattice="5.821 0.000 0.000 2.909 5.123 0.000 1.458 1.080 9.636" Properties=species:S:1:pos:R:3 pbc="T T T"
Mn 2.911 0.000 0.000
O 1.457 1.014 5.925
O 2.812 1.653 1.018
Li 5.800 3.457 2.395
Li 2.931 3.458 2.395
Li 1.455 0.900 2.364
O 4.364 4.385 1.081
Co 2.910 1.820 4.818
O 2.912 3.570 5.943
Li 4.367 0.947 2.372
Li 4.365 2.561 0.000
O 7.275 2.632 3.693
O 4.365 2.629 3.678
O 7.375 4.549 8.619
Li 5.820 5.255 7.264
O 2.913 1.741 8.508
Li 4.388 2.746 7.242
O 4.269 4.549 8.619
O 5.822 3.573 5.959
Co 4.365 4.384 4.822
Co 5.823 1.818 4.814
O 7.275 4.461 1.129
Co 7.277 4.382 4.819
Li 7.257 2.744 7.241
Li 8.733 5.302 7.273
O 8.731 5.189 3.711
Mn 0.000 0.000 0.000
O 4.369 1.022 5.920
O 5.823 1.817 8.556
O 5.819 5.180 3.716
O 5.919 1.653 1.017
Co 1.454 2.561 0.000
```

## Properties
Space group ... P-1, No. 2

---

#three
A geometry-optimized Li9Mn2Co5O16 structure. Source: Materials Project, functional PBE+U.

```
32
Lattice="5.869 0.000 0.000 -2.871 5.129 0.000 -1.402 -1.171 9.559" Properties=species:S:1:pos:R:3 pbc="T T T"
Co -1.416 4.213 2.426
Mn 1.582 3.954 9.519
O 0.125 1.481 5.858
O 1.503 2.384 3.638
Li 1.530 4.148 2.473
Co 1.528 0.713 4.855
Co 0.050 1.655 2.412
O 1.721 0.582 8.355
O -1.523 0.652 8.308
Li -1.365 2.334 7.146
Li 0.116 1.411 9.541
O 1.398 4.088 6.015
O 4.506 0.935 1.066
Li 4.440 0.661 4.800
Co 0.130 3.239 4.856
O -1.275 2.483 3.570
Li 1.558 2.315 7.161
Li 0.048 -0.172 7.092
Li 3.005 3.247 4.793
O -2.888 3.059 8.512
Mn 3.014 1.418 9.513
O -0.086 3.342 1.176
O 0.090 -0.121 3.490
O 1.350 0.795 1.209
Li 2.967 1.631 2.403
O 3.073 3.288 1.140
O -1.266 4.136 6.059
Co 2.991 -0.213 7.174
O 0.188 3.348 8.299
O 2.975 1.304 6.063
Li 1.538 -1.151 9.523
O 2.868 -0.171 3.620
```

## Properties
Space group ... P1, No. 1

---

Tell me which of them is the most stable. Sure, it is #two.